Entry 1:
LiTiCl3: optimized geometry, GGA-PBE.

Unit cell a=7.443 b=7.443 c=12.345 alpha=108.47 beta=108.47 gamma=57.46
Positions (direct):
1 Li 0.000 0.000 0.000
2 Li 0.070 0.070 0.666
3 Li 0.509 0.509 0.486
4 Li 0.605 0.605 0.175
5 Ti 0.060 0.450 0.471
6 Ti 0.238 0.238 0.274
7 Ti 0.450 0.060 0.471
8 Ti 0.789 0.789 0.750
9 Cl 0.104 0.104 0.361
10 Cl 0.114 0.640 0.882
11 Cl 0.138 0.609 0.359
12 Cl 0.364 0.918 0.111
13 Cl 0.389 0.389 0.611
14 Cl 0.412 0.890 0.616
15 Cl 0.609 0.138 0.359
16 Cl 0.640 0.114 0.882
17 Cl 0.642 0.642 0.374
18 Cl 0.875 0.875 0.599
19 Cl 0.890 0.412 0.616
20 Cl 0.918 0.364 0.111

* total DFT energy (no corrections): -4.57 eV per atom
* formation enthalpy at 0 K: -1.869 eV/atom
* polymorph energy (0 for the lowest one): 0.00 eV/f.u.
* crystal system: monoclinic

***

Entry 2:
LiTiCl3: optimized geometry, GGA-PBE.

Unit cell a=5.059 b=5.059 c=4.860 alpha=90.00 beta=90.00 gamma=90.00
Positions (direct):
1 Li 0.000 0.000 0.000
2 Ti 0.500 0.500 0.000
3 Cl 0.000 0.500 0.000
4 Cl 0.500 0.000 0.000
5 Cl 0.500 0.500 0.500

* total DFT energy (no corrections): -4.46 eV per atom
* formation enthalpy at 0 K: -1.761 eV/atom
* polymorph energy (0 for the lowest one): 0.54 eV/f.u.
* crystal system: tetragonal